First-principles (PBE-GGA) data for an optimized crystal structure of Ba2LuMgBiO6, as listed in Materials Project.

**Symmetry**: No. 2
**Energy**: -68.65 eV/cell

Geometry as POSCAR:
```
Ba2LuMgBiO6
1.0
5.680 -0.159 3.700
1.851 4.887 3.454
0.265 -0.081 6.946
O Bi Ba Mg Lu
6 1 2 1 1
direct
0.151 0.341 0.743
0.785 0.226 0.253
0.215 0.774 0.747
0.849 0.659 0.257
0.317 0.743 0.154
0.683 0.257 0.846
0.500 0.500 0.500
0.691 0.739 0.701
0.309 0.261 0.299
0.000 0.500 0.000
0.000 0.000 0.000
```